LaGeRu | PBE | optimized geometry

abc: 4.3583 4.3583 7.0696
angles: 90.00 90.00 90.00
Closest atoms and distances in Å follow each position.
Space group P4/nmm (No. 129, origin choice 2)
Symmetry-distinct sites (fractional):
1 La 0.2500 0.2500 0.1901 x2  4 Ru 3.09, 4 Ge 3.21
2 Ge 0.2500 0.2500 0.6844 x2  4 Ru 2.54
3 Ru 0.2500 0.7500 0.5000 x2  4 Ge 2.54

Final energy   -41.86 eV per cell
ΔH_f (0 K)   -67 kJ per mole of atoms